Record 1
# Mg16Al12Pb (PBE, optimized geometry)
data_Mg16Al12Pb
_cell_length_a 14.9797
_cell_length_b 14.9797
_cell_length_c 9.2175
_cell_angle_alpha 90.00
_cell_angle_beta 90.00
_cell_angle_gamma 120.00
_symmetry_space_group_name_H-M 'R 3 m'
_symmetry_Int_Tables_number 160
_symmetry_space_group_name_Hall 'R 3 -2"'
loop_
_atom_site_label
_atom_site_type_symbol
_atom_site_fract_x
_atom_site_fract_y
_atom_site_fract_z
Mg1 Mg 0.0000 0.0000 0.0000
Mg2 Mg 0.0122 0.3058 0.3029
Mg3 Mg 0.0681 0.5340 0.2163
Mg4 Mg 0.2104 0.1052 0.4962
Mg5 Mg 0.2182 0.4364 0.7780
Al1 Al 0.0623 0.1246 0.2972
Al2 Al 0.0887 0.5444 0.7246
Al3 Al 0.1472 0.4786 0.4836
Pb1 Pb 0.0000 0.0000 0.6580
# * energy above the most stable polymorph in this dataset: 0.0014 eV/atom

---

Record 2
# Mg16Al12Pb (PBE, optimized geometry)
data_Mg16Al12Pb
_cell_length_a 10.5561
_cell_length_b 14.8636
_cell_length_c 9.0858
_cell_angle_alpha 90.00
_cell_angle_beta 123.41
_cell_angle_gamma 90.00
_symmetry_space_group_name_H-M 'C 1 m 1'
_symmetry_Int_Tables_number 8
_symmetry_space_group_name_Hall 'C -2y'
loop_
_atom_site_label
_atom_site_type_symbol
_atom_site_fract_x
_atom_site_fract_y
_atom_site_fract_z
Mg1 Mg 0.0000 0.0000 0.0000
Mg2 Mg 0.9996 0.0000 0.3436
Mg3 Mg 0.0573 0.3446 0.3988
Mg4 Mg 0.1539 0.1593 0.5989
Mg5 Mg 0.1666 0.5000 0.6665
Mg6 Mg 0.1709 0.1749 0.9919
Mg7 Mg 0.1863 0.5000 0.2879
Mg8 Mg 0.3001 0.2988 0.3154
Mg9 Mg 0.4630 0.1429 0.0047
Mg10 Mg 0.4829 0.1978 0.6796
Al1 Al 0.0036 0.1841 0.1859
Al2 Al 0.1716 0.0000 0.8205
Al3 Al 0.2338 0.4084 0.0085
Al4 Al 0.2691 0.0952 0.3500
Al5 Al 0.3173 0.3159 0.8164
Al6 Al 0.3674 0.0000 0.1728
Al7 Al 0.4042 0.4079 0.6317
Pb1 Pb 0.3904 0.0000 0.7054
# * energy above the most stable polymorph in this dataset: 0.0000 eV/atom

---

Record 3
VASP calculation (PBE) on Mg17Al11Pb after structural relaxation.

Geometry as CIF:
```
data_Mg17Al11Pb
_cell_length_a 10.6848
_cell_length_b 15.0670
_cell_length_c 9.2150
_cell_angle_alpha 90.00
_cell_angle_beta 125.24
_cell_angle_gamma 90.00
_symmetry_space_group_name_H-M 'C 1 m 1'
_symmetry_Int_Tables_number 8
_symmetry_space_group_name_Hall 'C -2y'
loop_
_atom_site_label
_atom_site_type_symbol
_atom_site_fract_x
_atom_site_fract_y
_atom_site_fract_z
Mg1 Mg 0.0000 0.0000 0.0000
Mg2 Mg 0.9996 0.3411 0.9432
Mg3 Mg 0.0069 0.3245 0.3302
Mg4 Mg 0.0405 0.0000 0.6249
Mg5 Mg 0.1443 0.2006 0.6541
Mg6 Mg 0.2410 0.5000 0.0554
Mg7 Mg 0.3049 0.3503 0.3355
Mg8 Mg 0.3263 0.3024 0.0202
Mg9 Mg 0.3352 0.0000 0.3339
Mg10 Mg 0.3490 0.0000 0.6839
Mg11 Mg 0.4054 0.3380 0.7443
Al1 Al 0.0109 0.5000 0.1279
Al2 Al 0.0666 0.0905 0.3392
Al3 Al 0.1110 0.4056 0.7106
Al4 Al 0.1567 0.1818 0.1537
Al5 Al 0.2457 0.0936 0.9716
Al6 Al 0.3425 0.1819 0.5219
Pb1 Pb 0.2144 0.5000 0.5131
```

---

Record 4
# Mg16Al12Pb (PBE, optimized geometry)
data_Mg16Al12Pb
_cell_length_a 10.5928
_cell_length_b 10.5928
_cell_length_c 10.5928
_cell_angle_alpha 90.00
_cell_angle_beta 90.00
_cell_angle_gamma 90.00
_symmetry_space_group_name_H-M 'I -4 3 m'
_symmetry_Int_Tables_number 217
_symmetry_space_group_name_Hall 'I -4 2 3'
loop_
_atom_site_label
_atom_site_type_symbol
_atom_site_fract_x
_atom_site_fract_y
_atom_site_fract_z
Mg1 Mg 0.0424 0.3576 0.3576
Mg2 Mg 0.1752 0.1752 0.8248
Al1 Al 0.0922 0.0922 0.2803
Pb1 Pb 0.0000 0.0000 0.0000
# * energy above the most stable polymorph in this dataset: 0.0114 eV/atom

---

Record 5
VASP calculation (PBE) on Pr3MgAl2 after structural relaxation.

Geometry as CIF:
```
data_Pr3MgAl2
_cell_length_a 3.7412
_cell_length_b 3.7412
_cell_length_c 11.8466
_cell_angle_alpha 90.00
_cell_angle_beta 90.00
_cell_angle_gamma 90.00
_symmetry_space_group_name_H-M 'P 4/m m m'
_symmetry_Int_Tables_number 123
_symmetry_space_group_name_Hall '-P 4 2'
loop_
_atom_site_label
_atom_site_type_symbol
_atom_site_fract_x
_atom_site_fract_y
_atom_site_fract_z
Pr1 Pr 0.0000 0.0000 0.0000
Pr2 Pr 0.0000 0.0000 0.3213
Mg1 Mg 0.5000 0.5000 0.5000
Al1 Al 0.5000 0.5000 0.1666
```

---

Record 6
VASP calculation (PBE) on Pr2MgAl after structural relaxation.

Geometry as CIF:
```
data_Pr2MgAl
_cell_length_a 7.6473
_cell_length_b 7.6473
_cell_length_c 7.6473
_cell_angle_alpha 90.00
_cell_angle_beta 90.00
_cell_angle_gamma 90.00
_symmetry_space_group_name_H-M 'F m -3 m'
_symmetry_Int_Tables_number 225
_symmetry_space_group_name_Hall '-F 4 2 3'
loop_
_atom_site_label
_atom_site_type_symbol
_atom_site_fract_x
_atom_site_fract_y
_atom_site_fract_z
Pr1 Pr 0.2500 0.2500 0.2500
Mg1 Mg 0.0000 0.0000 0.0000
Al1 Al 0.0000 0.0000 0.5000
```

---

Record 7
VASP calculation (PBE) on PuMg16Al12 after structural relaxation.

Geometry as CIF:
```
data_PuMg16Al12
_cell_length_a 15.2723
_cell_length_b 15.2723
_cell_length_c 8.8769
_cell_angle_alpha 90.00
_cell_angle_beta 90.00
_cell_angle_gamma 120.00
_symmetry_space_group_name_H-M 'R 3 m'
_symmetry_Int_Tables_number 160
_symmetry_space_group_name_Hall 'R 3 -2"'
loop_
_atom_site_label
_atom_site_type_symbol
_atom_site_fract_x
_atom_site_fract_y
_atom_site_fract_z
Pu1 Pu 0.0000 0.0000 0.0000
Mg1 Mg 0.0000 0.0000 0.3720
Mg2 Mg 0.0037 0.3072 0.6793
Mg3 Mg 0.0645 0.5323 0.5889
Mg4 Mg 0.2204 0.1102 0.8777
Mg5 Mg 0.2199 0.4398 0.1566
Al1 Al 0.0604 0.1208 0.6897
Al2 Al 0.0927 0.5463 0.1111
Al3 Al 0.1548 0.4867 0.8527
```

---

Record 8
VASP calculation (PBE) on RbMg16Al12 after structural relaxation.

Geometry as CIF:
```
data_RbMg16Al12
_cell_length_a 15.1380
_cell_length_b 15.1380
_cell_length_c 9.1669
_cell_angle_alpha 90.00
_cell_angle_beta 90.00
_cell_angle_gamma 120.00
_symmetry_space_group_name_H-M 'R 3 m'
_symmetry_Int_Tables_number 160
_symmetry_space_group_name_Hall 'R 3 -2"'
loop_
_atom_site_label
_atom_site_type_symbol
_atom_site_fract_x
_atom_site_fract_y
_atom_site_fract_z
Rb1 Rb 0.0000 0.0000 0.0000
Mg1 Mg 0.0000 0.0000 0.3766
Mg2 Mg 0.0096 0.3070 0.6787
Mg3 Mg 0.0660 0.5330 0.5918
Mg4 Mg 0.2186 0.4372 0.1553
Mg5 Mg 0.2201 0.1101 0.8667
Al1 Al 0.0625 0.1250 0.6737
Al2 Al 0.0909 0.5454 0.1028
Al3 Al 0.1479 0.4782 0.8611
```

---

Record 9
VASP calculation (PBE) on Mg16Al12Rh after structural relaxation.

Geometry as CIF:
```
data_Mg16Al12Rh
_cell_length_a 14.6666
_cell_length_b 14.6666
_cell_length_c 9.1980
_cell_angle_alpha 90.00
_cell_angle_beta 90.00
_cell_angle_gamma 120.00
_symmetry_space_group_name_H-M 'R 3 m'
_symmetry_Int_Tables_number 160
_symmetry_space_group_name_Hall 'R 3 -2"'
loop_
_atom_site_label
_atom_site_type_symbol
_atom_site_fract_x
_atom_site_fract_y
_atom_site_fract_z
Mg1 Mg 0.0000 0.0000 0.0000
Mg2 Mg 0.0173 0.3093 0.2892
Mg3 Mg 0.0616 0.5308 0.2008
Mg4 Mg 0.1733 0.0866 0.5038
Mg5 Mg 0.2157 0.4314 0.7702
Al1 Al 0.0008 0.1809 0.8035
Al2 Al 0.0635 0.1271 0.2716
Al3 Al 0.0727 0.5363 0.7139
Rh1 Rh 0.0000 0.0000 0.7180
```

---

Record 10
VASP calculation (PBE) on Mg17Al11Rh after structural relaxation.

Geometry as CIF:
```
data_Mg17Al11Rh
_cell_length_a 10.4596
_cell_length_b 14.8708
_cell_length_c 8.9280
_cell_angle_alpha 90.00
_cell_angle_beta 124.86
_cell_angle_gamma 90.00
_symmetry_space_group_name_H-M 'C 1 m 1'
_symmetry_Int_Tables_number 8
_symmetry_space_group_name_Hall 'C -2y'
loop_
_atom_site_label
_atom_site_type_symbol
_atom_site_fract_x
_atom_site_fract_y
_atom_site_fract_z
Mg1 Mg 0.0000 0.0000 0.0000
Mg2 Mg 0.0008 0.0000 0.6410
Mg3 Mg 0.0195 0.3014 0.3111
Mg4 Mg 0.0492 0.3617 0.9972
Mg5 Mg 0.1154 0.5000 0.2790
Mg6 Mg 0.2044 0.2000 0.6809
Mg7 Mg 0.3196 0.0000 0.7035
Mg8 Mg 0.3316 0.3324 0.0019
Mg9 Mg 0.3422 0.3454 0.3839
Mg10 Mg 0.3522 0.0000 0.3405
Mg11 Mg 0.4448 0.1584 0.5950
Al1 Al 0.0005 0.1825 0.8103
Al2 Al 0.0859 0.0903 0.3560
Al3 Al 0.1438 0.5000 0.8332
Al4 Al 0.1885 0.1831 0.1851
Al5 Al 0.2272 0.4078 0.6296
Al6 Al 0.2778 0.0896 0.9927
Rh1 Rh 0.3262 0.5000 0.1788
```

---

Record 11
VASP calculation (PBE) on Mg16Al12S after structural relaxation.

Geometry as CIF:
```
data_Mg16Al12S
_cell_length_a 14.7336
_cell_length_b 14.7336
_cell_length_c 9.3044
_cell_angle_alpha 90.00
_cell_angle_beta 90.00
_cell_angle_gamma 120.00
_symmetry_space_group_name_H-M 'R 3 m'
_symmetry_Int_Tables_number 160
_symmetry_space_group_name_Hall 'R 3 -2"'
loop_
_atom_site_label
_atom_site_type_symbol
_atom_site_fract_x
_atom_site_fract_y
_atom_site_fract_z
Mg1 Mg 0.0000 0.0000 0.0000
Mg2 Mg 0.0448 0.3606 0.3194
Mg3 Mg 0.0938 0.1876 0.4435
Mg4 Mg 0.1040 0.5520 0.5112
Mg5 Mg 0.1994 0.3987 0.0694
Al1 Al 0.9997 0.1882 0.1342
Al2 Al 0.1265 0.0632 0.6730
Al3 Al 0.2044 0.4088 0.5631
S1 S 0.0000 0.0000 0.3387
```

---

Record 12
VASP calculation (PBE) on Mg2TiAl3S8 after structural relaxation.

Geometry as CIF:
```
data_Mg2TiAl3S8
_cell_length_a 7.2815
_cell_length_b 7.2815
_cell_length_c 17.8611
_cell_angle_alpha 90.00
_cell_angle_beta 90.00
_cell_angle_gamma 120.00
_symmetry_space_group_name_H-M 'R -3 m'
_symmetry_Int_Tables_number 166
_symmetry_space_group_name_Hall '-R 3 2"'
loop_
_atom_site_label
_atom_site_type_symbol
_atom_site_fract_x
_atom_site_fract_y
_atom_site_fract_z
Mg1 Mg 0.0000 0.0000 0.1252
Ti1 Ti 0.0000 0.0000 0.5000
Al1 Al 0.0000 0.5000 0.0000
S1 S 0.0000 0.0000 0.2625
S2 S 0.0285 0.5143 0.2555
```

---

Record 13
VASP calculation (PBE) on Mg2Ti3AlS8 after structural relaxation.

Geometry as CIF:
```
data_Mg2Ti3AlS8
_cell_length_a 12.5486
_cell_length_b 7.2536
_cell_length_c 7.3930
_cell_angle_alpha 90.00
_cell_angle_beta 124.39
_cell_angle_gamma 90.00
_symmetry_space_group_name_H-M 'C 1 2/m 1'
_symmetry_Int_Tables_number 12
_symmetry_space_group_name_Hall '-C 2y'
loop_
_atom_site_label
_atom_site_type_symbol
_atom_site_fract_x
_atom_site_fract_y
_atom_site_fract_z
Mg1 Mg 0.1254 0.0000 0.3764
Ti1 Ti 0.0000 0.5000 0.0000
Ti2 Ti 0.2500 0.2500 0.0000
Al1 Al 0.0000 0.5000 0.5000
S1 S 0.0093 0.2736 0.7546
S2 S 0.2359 0.5000 0.7545
S3 S 0.2408 0.5000 0.2226
```

---

Record 14
VASP calculation (PBE) on Mg2Al3VS8 after structural relaxation.

Geometry as CIF:
```
data_Mg2Al3VS8
_cell_length_a 7.2386
_cell_length_b 7.2393
_cell_length_c 7.2478
_cell_angle_alpha 60.10
_cell_angle_beta 60.37
_cell_angle_gamma 60.04
_symmetry_space_group_name_H-M 'P -1'
_symmetry_Int_Tables_number 2
_symmetry_space_group_name_Hall '-P 1'
loop_
_atom_site_label
_atom_site_type_symbol
_atom_site_fract_x
_atom_site_fract_y
_atom_site_fract_z
Mg1 Mg 0.1251 0.1252 0.1246
Al1 Al 0.0000 0.5000 0.5000
Al2 Al 0.5000 0.0000 0.5000
Al3 Al 0.5000 0.5000 0.5000
V1 V 0.5000 0.5000 0.0000
S1 S 0.2608 0.2614 0.2646
S2 S 0.2612 0.7142 0.2633
S3 S 0.2622 0.2618 0.7135
S4 S 0.2855 0.7386 0.7371
```

---

no.,formation enthalpy at 0 K (kJ/mol of formula units)
1,-26.6
2,-30.5
3,-36.4
4,1.3
5,-152.0
6,-94.6
7,-132.4
8,84.9
9,-177.1
10,-239.7
11,-125.2
12,-1995.5
13,-2111.2
14,-1896.9